No. 1
## NiAsO3 (PBE with a Hubbard U)

Data for NiAsO3 after structural relaxation.

a b c (Å): 3.6964 3.6964 3.6964
angles (deg): 90.00 90.00 90.00
Last column: nearest neighbours and their distance in Å.
Sites, in units of the cell vectors:
Ni 0.5000 0.5000 0.5000  6 O 1.85
As 0.0000 0.0000 0.0000  12 O 2.61
O 0.5000 0.5000 0.0000  2 Ni 1.85
O 0.5000 0.0000 0.5000  2 Ni 1.85
O 0.0000 0.5000 0.5000  2 Ni 1.85

Computed properties:
For the volume, the calculation gives 50.5 Å³ per cell. Its calculated formation energy is -0.527 eV/atom. The corrected total energy (MP2020 scheme) is -5.583 eV/atom. As for the magnetic moment: 1.00 μB per formula unit. Its symmetry is Pm-3m, No. 221.



No. 2
## VNi3AsO8 (PBE with a Hubbard U)

Data for VNi3AsO8 after structural relaxation.

a b c (Å): 6.4738 6.4738 8.3082
angles (deg): 89.96 89.96 55.42
Last column: nearest neighbours and their distance in Å.
Sites, in units of the cell vectors:
V 0.6230 0.6230 0.8814  4 O 1.73-1.83
V 0.3770 0.3770 0.1186  4 O 1.73-1.83
Ni 0.8826 0.3814 0.2529  6 O 2.02-2.15
Ni 0.6186 0.1174 0.7471  6 O 2.02-2.15
Ni 0.1174 0.6186 0.7471  6 O 2.02-2.15
Ni 0.3814 0.8826 0.2529  6 O 2.02-2.15
Ni 0.5000 0.5000 0.5000  6 O 2.04-2.10
Ni 0.0000 0.0000 0.0000  6 O 2.07-2.10
As 0.8759 0.8759 0.3835  4 O 1.72-1.79
As 0.1241 0.1241 0.6165  4 O 1.72-1.79
O 0.5026 0.5026 0.2542  1 V 1.83, 1 Ni 2.04
O 0.4974 0.4974 0.7458  1 V 1.83, 1 Ni 2.04
O 0.0024 0.0024 0.7513  1 As 1.79
O 0.9976 0.9976 0.2487  1 As 1.79
O 0.7520 0.7520 0.2666  1 As 1.72
O 0.2480 0.2480 0.7334  1 As 1.72
O 0.7517 0.7517 0.7695  1 V 1.74
O 0.2483 0.2483 0.2305  1 V 1.74
O 0.8829 0.3577 0.5012  1 As 1.72
O 0.6423 0.1171 0.4988  1 As 1.72
O 0.1463 0.6166 0.9980  1 V 1.73
O 0.3834 0.8537 0.0020  1 V 1.73
O 0.1171 0.6423 0.4988  1 As 1.72
O 0.3577 0.8829 0.5012  1 As 1.72
O 0.8537 0.3834 0.0020  1 V 1.73
O 0.6166 0.1463 0.9980  1 V 1.73

Computed properties:
For the volume, the calculation gives 286.7 Å³ per cell. Its calculated formation energy is -1.701 eV/atom. The corrected total energy (MP2020 scheme) is -7.136 eV/atom. As for the magnetic moment: 6.00 μB per formula unit. Its symmetry is C2/m, No. 12.



No. 3
## ZnNiAsO5 (PBE with a Hubbard U)

Data for ZnNiAsO5 after structural relaxation.

a b c (Å): 7.8970 5.9930 8.2362
angles (deg): 90.00 90.01 90.02
Last column: nearest neighbours and their distance in Å.
Sites, in units of the cell vectors:
Zn 0.9488 0.7223 0.0607  2 O 1.88-1.92
Zn 0.5518 0.2780 0.5607  2 O 1.88-1.92
Zn 0.4486 0.7777 0.9394  2 O 1.88-1.92
Zn 0.0514 0.2223 0.4393  2 O 1.88-1.92
Ni 0.9980 0.4907 0.7489  6 O 1.89-2.09
Ni 0.5021 0.5092 0.2491  6 O 1.89-2.09
Ni 0.4979 0.0093 0.2511  6 O 1.89-2.09
Ni 0.0020 0.9907 0.7510  6 O 1.89-2.09
As 0.6526 0.2624 0.9338  4 O 1.71-1.74
As 0.8470 0.7377 0.4339  4 O 1.72-1.74
As 0.1529 0.2377 0.0660  4 O 1.72-1.74
As 0.3474 0.7623 0.5662  4 O 1.71-1.74
O 0.8530 0.2427 0.8519  1 As 1.72
O 0.6472 0.7574 0.3519  1 As 1.72
O 0.3528 0.2573 0.1481  1 As 1.72
O 0.1469 0.7426 0.6480  1 As 1.72
O 0.5031 0.2835 0.7838  1 As 1.71, 1 Zn 1.88
O 0.9972 0.7164 0.2837  1 As 1.72, 1 Zn 1.88
O 0.0028 0.2164 0.2163  1 As 1.72, 1 Zn 1.88
O 0.4969 0.7835 0.7162  1 As 1.71, 1 Zn 1.88
O 0.6257 0.0155 0.0419  1 As 1.74
O 0.8742 0.9845 0.5418  1 As 1.74
O 0.1259 0.4845 0.9581  1 As 1.74
O 0.3743 0.5154 0.4582  1 As 1.74
O 0.6437 0.5058 0.0487  1 As 1.74
O 0.8561 0.4943 0.5487  1 As 1.74
O 0.1437 0.9943 0.9513  1 As 1.74
O 0.3563 0.0057 0.4513  1 As 1.74
O 0.8842 0.7425 0.8363  2 Ni 1.89-1.90, 1 Zn 1.92
O 0.6159 0.2574 0.3363  2 Ni 1.89-1.90, 1 Zn 1.92
O 0.3842 0.7573 0.1638  2 Ni 1.89-1.90, 1 Zn 1.92
O 0.1158 0.2426 0.6636  2 Ni 1.89-1.90, 1 Zn 1.92

Computed properties:
For the volume, the calculation gives 389.8 Å³ per cell. Its calculated formation energy is -1.455 eV/atom. The corrected total energy (MP2020 scheme) is -6.010 eV/atom. As for the magnetic moment: 1.00 μB per formula unit. Its symmetry is P2_12_12_1, No. 19.



No. 4
## ZnNiAs2O7 (PBE with a Hubbard U)

Data for ZnNiAs2O7 after structural relaxation.

a b c (Å): 8.6594 7.2623 9.6911
angles (deg): 66.90 90.00 90.00
Last column: nearest neighbours and their distance in Å.
Sites, in units of the cell vectors:
Zn 0.0773 0.7262 0.8903  6 O 2.04-2.28
Zn 0.5773 0.2738 0.6097  6 O 2.04-2.28
Zn 0.9227 0.2738 0.1097  6 O 2.04-2.28
Zn 0.4227 0.7262 0.3903  6 O 2.04-2.28
Ni 0.9409 0.1827 0.6871  5 O 1.98-2.08
Ni 0.4409 0.8173 0.8129  5 O 1.98-2.08
Ni 0.0591 0.8173 0.3129  5 O 1.98-2.08
Ni 0.5591 0.1827 0.1871  5 O 1.98-2.08
As 0.7722 0.5675 0.7515  4 O 1.67-1.79
As 0.2722 0.4325 0.7485  4 O 1.67-1.79
As 0.2278 0.4325 0.2485  4 O 1.67-1.79
As 0.7278 0.5675 0.2515  4 O 1.67-1.79
As 0.7211 0.9811 0.9587  4 O 1.70-1.78
As 0.2211 0.0189 0.5413  4 O 1.70-1.78
As 0.2789 0.0189 0.0413  4 O 1.70-1.78
As 0.7789 0.9811 0.4587  4 O 1.70-1.78
O 0.7299 0.1391 0.0519  1 As 1.72
O 0.2299 0.8609 0.4481  1 As 1.72
O 0.2701 0.8609 0.9481  1 As 1.72
O 0.7701 0.1391 0.5519  1 As 1.72
O 0.5950 0.6417 0.7745  1 As 1.67
O 0.0950 0.3583 0.7255  1 As 1.67
O 0.4050 0.3583 0.2255  1 As 1.67
O 0.9050 0.6417 0.2745  1 As 1.67
O 0.9007 0.5386 0.8935  1 As 1.72
O 0.4007 0.4614 0.6065  1 As 1.72
O 0.0993 0.4614 0.1065  1 As 1.72
O 0.5993 0.5386 0.3935  1 As 1.72
O 0.8533 0.7453 0.5819  2 As 1.78-1.79
O 0.3533 0.2547 0.9181  2 As 1.78-1.79
O 0.1467 0.2547 0.4181  2 As 1.78-1.79
O 0.6467 0.7453 0.0819  2 As 1.78-1.79
O 0.9233 0.0318 0.3287  1 As 1.71
O 0.4233 0.9682 0.1713  1 As 1.71
O 0.0767 0.9682 0.6713  1 As 1.71
O 0.5767 0.0318 0.8287  1 As 1.71
O 0.7339 0.3585 0.2107  1 As 1.71
O 0.2339 0.6415 0.2893  1 As 1.71
O 0.2661 0.6415 0.7893  1 As 1.71
O 0.7661 0.3585 0.7107  1 As 1.71
O 0.6034 0.9560 0.3886  1 As 1.70
O 0.1034 0.0440 0.1114  1 As 1.70
O 0.3966 0.0440 0.6114  1 As 1.70
O 0.8966 0.9560 0.8886  1 As 1.70

Computed properties:
For the volume, the calculation gives 560.6 Å³ per cell. Its calculated formation energy is -1.631 eV/atom. The corrected total energy (MP2020 scheme) is -6.267 eV/atom. Its symmetry is P2_1/c, No. 14.